Tm2WO6 after structural relaxation. Source: the Materials Project database, functional PBE+U. Values from VASP.

Energy   -8.12 eV/atom
ΔE_f   -3.34 eV per atom
V   13.0 A^3/atom

Structure (Quantum ESPRESSO input):
```
&SYSTEM
  ibrav = 0, nat = 72, ntyp = 3
/
ATOMIC_SPECIES
Tm 168.93 Tm.upf
W 183.84 W.upf
O 16.00 O.upf
CELL_PARAMETERS angstrom
5.547 0.000 0.000
0.000 10.497 0.000
0.000 0.000 16.031
ATOMIC_POSITIONS angstrom
Tm 4.986 6.752 0.991
Tm 2.212 8.994 0.991
Tm 5.290 8.959 3.667
Tm 2.517 6.787 3.667
Tm 5.290 3.711 4.349
Tm 2.517 1.538 4.349
Tm 2.212 3.745 7.025
Tm 4.986 1.504 7.025
Tm 0.561 8.994 9.006
Tm 3.334 6.752 9.006
Tm 3.030 8.959 11.682
Tm 0.256 6.787 11.682
Tm 3.030 3.711 12.365
Tm 0.256 1.538 12.365
Tm 0.561 3.745 15.041
Tm 3.334 1.504 15.041
W 2.150 3.995 1.922
W 4.923 1.254 1.922
W 2.150 9.243 6.094
W 4.923 6.503 6.094
W 0.624 3.995 9.937
W 3.397 1.254 9.937
W 0.624 9.243 14.110
W 3.397 6.503 14.110
O 5.096 2.276 0.342
O 2.323 2.973 0.342
O 0.662 4.833 1.126
O 3.435 0.415 1.126
O 0.540 10.347 1.713
O 3.313 5.399 1.713
O 3.760 8.099 2.344
O 0.986 7.647 2.344
O 3.671 2.827 2.775
O 0.898 2.422 2.775
O 4.496 0.568 3.709
O 1.723 4.681 3.709
O 1.723 9.929 4.307
O 4.496 5.817 4.307
O 3.671 8.076 5.241
O 0.898 7.671 5.241
O 3.760 2.850 5.672
O 0.986 2.399 5.672
O 0.540 5.099 6.303
O 3.313 0.150 6.303
O 0.662 10.082 6.890
O 3.435 5.664 6.890
O 2.323 8.222 7.674
O 5.096 7.524 7.674
O 0.451 2.973 8.357
O 3.224 2.276 8.357
O 2.111 4.833 9.141
O 4.885 0.415 9.141
O 2.233 10.347 9.729
O 5.007 5.399 9.729
O 4.560 8.099 10.359
O 1.787 7.647 10.359
O 4.649 2.827 10.791
O 1.875 2.422 10.791
O 1.050 4.681 11.725
O 3.824 0.568 11.725
O 1.050 9.929 12.322
O 3.824 5.817 12.322
O 4.649 8.076 13.256
O 1.875 7.671 13.256
O 4.560 2.850 13.688
O 1.787 2.399 13.688
O 2.233 5.099 14.318
O 5.007 0.150 14.318
O 2.111 10.082 14.905
O 4.885 5.664 14.905
O 0.451 8.222 15.689
O 3.224 7.524 15.689
```